1.
First-principles (r2SCAN) data for a geometry-optimized Sr3Ga3N5 structure, as listed in Materials Project.

## Properties
Spin magnetization (μB/atom): 0.000

a = 5.944 Å, b = 7.228 Å, c = 8.699 Å
α = 108.35°, β = 103.69°, γ = 95.25°
Positions (direct):
Sr 0.669 0.863 0.874
Sr 0.331 0.137 0.126
Sr 0.182 0.589 0.392
Sr 0.656 0.655 0.202
Sr 0.344 0.345 0.798
Sr 0.818 0.411 0.608
Ga 0.709 0.955 0.569
Ga 0.291 0.045 0.431
Ga 0.091 0.684 0.027
Ga 0.877 0.122 0.284
Ga 0.909 0.316 0.973
Ga 0.123 0.878 0.716
N 0.614 0.053 0.382
N 0.745 0.224 0.110
N 0.044 0.891 0.222
N 0.161 0.287 0.473
N 0.956 0.109 0.778
N 0.255 0.776 0.890
N 0.386 0.947 0.618
N 0.766 0.527 0.905
N 0.234 0.473 0.095
N 0.839 0.713 0.527

2.
First-principles (r2SCAN) data for a geometry-optimized Sr3Ga2N4 structure, as listed in Materials Project.

## Properties
Spin magnetization (μB/atom): 0.000

a = 5.953 Å, b = 9.557 Å, c = 10.281 Å
α = 90.00°, β = 90.00°, γ = 90.00°
Positions (direct):
Sr 0.250 0.595 0.500
Sr 0.250 0.905 0.000
Sr 0.750 0.405 0.500
Sr 0.750 0.095 0.000
Sr 0.391 0.588 0.154
Sr 0.391 0.912 0.346
Sr 0.109 0.588 0.846
Sr 0.109 0.912 0.654
Sr 0.609 0.412 0.846
Sr 0.609 0.088 0.654
Sr 0.891 0.412 0.154
Sr 0.891 0.088 0.346
Ga 0.838 0.750 0.250
Ga 0.662 0.750 0.750
Ga 0.162 0.250 0.750
Ga 0.338 0.250 0.250
Ga 0.250 0.230 0.000
Ga 0.750 0.730 0.500
Ga 0.750 0.770 0.000
Ga 0.250 0.270 0.500
N 0.492 0.168 0.404
N 0.492 0.332 0.096
N 0.008 0.168 0.596
N 0.008 0.332 0.904
N 0.508 0.832 0.596
N 0.508 0.668 0.904
N 0.992 0.832 0.404
N 0.992 0.668 0.096
N 0.125 0.375 0.353
N 0.125 0.125 0.147
N 0.375 0.375 0.647
N 0.375 0.125 0.853
N 0.875 0.875 0.853
N 0.625 0.625 0.353
N 0.625 0.875 0.147
N 0.875 0.625 0.647

| no. | E_form (eV per atom) |
| --- | --- |
| 1 | -0.776 |
| 2 | -0.798 |